A geometry-optimized Ca20Er10F69 structure. Source: Materials Project, functional PBE.

Computed properties:
**Total magnetic moment**: 1.0 μB per formula unit
**Symmetry**: P-1 (2)
**Formation energy**: -424.45 eV/f.u.

Structure (POSCAR):
```
Ca20Er10F69
1.0
8.7834 0.0000 0.0000
-0.0011 8.7842 0.0000
-0.0584 -0.0819 16.6699
Ca Er F
20 10 69
Direct
0.0000 0.0000 0.0000
0.0003 0.0013 0.6781
0.9997 0.9987 0.3219
0.1067 0.3046 0.1689
0.1084 0.3068 0.8327
0.1925 0.6225 0.3375
0.1926 0.6194 0.6632
0.3055 0.8912 0.1677
0.3058 0.8937 0.8314
0.3776 0.1911 0.6618
0.3804 0.1940 0.3362
0.5000 0.5000 0.5000
0.6196 0.8060 0.6638
0.6224 0.8089 0.3382
0.6942 0.1063 0.1686
0.6945 0.1088 0.8323
0.8074 0.3806 0.3368
0.8075 0.3775 0.6625
0.8916 0.6932 0.1673
0.8933 0.6954 0.8311
0.1081 0.3147 0.5002
0.1892 0.6067 0.9997
0.3147 0.8919 0.5003
0.3932 0.1891 0.9997
0.4998 0.4986 0.8203
0.5002 0.5014 0.1797
0.6068 0.8109 0.0003
0.6853 0.1081 0.4997
0.8108 0.3933 0.0003
0.8919 0.6853 0.4998
0.0003 0.4992 0.4189
0.9996 0.4996 0.2510
0.0004 0.5004 0.7490
0.9997 0.5008 0.5811
0.0025 0.4983 0.0812
0.0827 0.2241 0.6230
0.0835 0.7932 0.0795
0.0836 0.2202 0.3781
0.0849 0.7929 0.9199
0.1007 0.7949 0.2389
0.1010 0.7963 0.7599
0.1469 0.7059 0.4999
0.2043 0.0999 0.2398
0.2046 0.1018 0.7607
0.2070 0.0827 0.9204
0.2069 0.0855 0.0799
0.2092 0.3552 0.9971
0.2205 0.9133 0.3779
0.2239 0.9203 0.6229
0.2844 0.5744 0.8775
0.2864 0.5788 0.1218
0.2941 0.1470 0.5030
0.2945 0.4208 0.5804
0.2948 0.4182 0.4192
0.3033 0.4070 0.7418
0.3034 0.4082 0.2573
0.3553 0.7908 0.0007
0.4075 0.6960 0.7427
0.4076 0.6973 0.2581
0.4186 0.7055 0.5810
0.4203 0.7052 0.4198
0.4230 0.2873 0.1215
0.4237 0.2836 0.8772
0.4971 0.0017 0.4189
0.5000 0.0011 0.0812
0.5000 0.0006 0.2511
0.5000 0.5000 0.0000
0.5000 0.9994 0.7489
0.5000 0.9989 0.9188
0.5029 0.9983 0.5811
0.5763 0.7164 0.1228
0.5770 0.7127 0.8785
0.5797 0.2948 0.5802
0.5814 0.2945 0.4190
0.5924 0.3027 0.7419
0.5925 0.3040 0.2573
0.6447 0.2092 0.9993
0.6966 0.5918 0.7427
0.6967 0.5930 0.2582
0.7052 0.5818 0.5808
0.7055 0.5792 0.4196
0.7059 0.8530 0.4970
0.7136 0.4212 0.8782
0.7156 0.4256 0.1225
0.7761 0.0797 0.3771
0.7795 0.0867 0.6221
0.7908 0.6448 0.0029
0.7931 0.9145 0.9201
0.7930 0.9173 0.0796
0.7954 0.8982 0.2393
0.7957 0.9001 0.7602
0.8531 0.2941 0.5001
0.8990 0.2037 0.2401
0.8993 0.2051 0.7611
0.9151 0.2071 0.0801
0.9164 0.7798 0.6219
0.9165 0.2068 0.9205
0.9173 0.7759 0.3770
0.9975 0.5017 0.9188
```